! NaPrSe2 (r2SCAN, optimized geometry); values from VASP
! symmetry = R-3m
! energy = -69.402 eV/cell
! ΔE_f = -1953 meV/atom
&SYSTEM
  ibrav = 0, nat = 4, ntyp = 3
/
ATOMIC_SPECIES
Na 22.99 Na.upf
Pr 140.91 Pr.upf
Se 78.96 Se.upf
CELL_PARAMETERS angstrom
2.152 1.242 6.930
-2.152 1.242 6.930
0.000 -2.484 6.930
ATOMIC_POSITIONS crystal
Na 0.000 0.000 0.000
Pr 0.500 0.500 0.500
Se 0.247 0.247 0.247
Se 0.753 0.753 0.753

! NaPr2Se3 (r2SCAN, optimized geometry); values from VASP
! symmetry = Immm
! energy = -117.351 eV/cell
! ΔE_f = -2007 meV/atom
&SYSTEM
  ibrav = 0, nat = 6, ntyp = 3
/
ATOMIC_SPECIES
Na 22.99 Na.upf
Pr 140.91 Pr.upf
Se 78.96 Se.upf
CELL_PARAMETERS angstrom
-2.118 2.999 6.418
2.118 -2.999 6.418
2.118 2.999 -6.418
ATOMIC_POSITIONS crystal
Na 0.000 0.000 0.000
Pr 0.336 0.336 0.000
Pr 0.664 0.664 0.000
Se 0.167 0.667 0.500
Se 0.500 0.000 0.500
Se 0.833 0.333 0.500

! RbNa3 (r2SCAN, optimized geometry); values from VASP
! symmetry = P6_3/mmc
! energy = -48.754 eV/cell
! ΔE_f = 62 meV/atom
&SYSTEM
  ibrav = 0, nat = 8, ntyp = 2
/
ATOMIC_SPECIES
Rb 85.47 Rb.upf
Na 22.99 Na.upf
CELL_PARAMETERS angstrom
8.632 0.000 0.000
-4.316 7.476 0.000
0.000 0.000 6.370
ATOMIC_POSITIONS crystal
Rb 0.333 0.667 0.250
Rb 0.667 0.333 0.750
Na 0.143 0.286 0.750
Na 0.143 0.857 0.750
Na 0.286 0.143 0.250
Na 0.714 0.857 0.750
Na 0.857 0.143 0.250
Na 0.857 0.714 0.250

! RbNa3 (r2SCAN, optimized geometry); values from VASP
! symmetry = I4/mmm
! energy = -24.376 eV/cell
! ΔE_f = 62 meV/atom
&SYSTEM
  ibrav = 0, nat = 4, ntyp = 2
/
ATOMIC_SPECIES
Rb 85.47 Rb.upf
Na 22.99 Na.upf
CELL_PARAMETERS angstrom
-3.022 3.022 5.409
3.022 -3.022 5.409
3.022 3.022 -5.409
ATOMIC_POSITIONS crystal
Rb 0.000 0.000 0.000
Na 0.250 0.750 0.500
Na 0.500 0.500 0.000
Na 0.750 0.250 0.500

! NaS (r2SCAN, optimized geometry); values from VASP
! symmetry = P6_3/mmc
! energy = -54.427 eV/cell
! ΔE_f = -1004 meV/atom
! relative energy among the computed polymorphs = 0 meV per atom
&SYSTEM
  ibrav = 0, nat = 8, ntyp = 2
/
ATOMIC_SPECIES
Na 22.99 Na.upf
S 32.06 S.upf
CELL_PARAMETERS angstrom
4.452 0.000 0.000
-2.226 3.855 0.000
0.000 0.000 10.176
ATOMIC_POSITIONS crystal
Na 0.000 0.000 0.000
Na 0.000 0.000 0.500
Na 0.333 0.667 0.250
Na 0.667 0.333 0.750
S 0.333 0.667 0.644
S 0.333 0.667 0.856
S 0.667 0.333 0.144
S 0.667 0.333 0.356

! NaS2 (r2SCAN, optimized geometry); values from VASP
! symmetry = I-42d
! energy = -173.998 eV/cell
! ΔE_f = -706 meV/atom
&SYSTEM
  ibrav = 0, nat = 24, ntyp = 2
/
ATOMIC_SPECIES
Na 22.99 Na.upf
S 32.06 S.upf
CELL_PARAMETERS angstrom
-4.790 4.790 5.831
4.790 -4.790 5.831
4.790 4.790 -5.831
ATOMIC_POSITIONS crystal
Na 0.148 0.125 0.523
Na 0.172 0.172 0.000
Na 0.375 0.852 0.977
Na 0.578 0.078 0.500
Na 0.602 0.625 0.477
Na 0.828 0.828 0.000
Na 0.875 0.398 0.023
Na 0.922 0.422 0.500
S 0.001 0.764 0.470
S 0.014 0.798 0.720
S 0.044 0.328 0.780
S 0.078 0.294 0.280
S 0.202 0.922 0.216
S 0.236 0.706 0.237
S 0.282 0.544 0.030
S 0.294 0.532 0.530
S 0.456 0.486 0.737
S 0.468 0.999 0.763
S 0.514 0.251 0.970
S 0.548 0.264 0.220
S 0.672 0.452 0.716
S 0.706 0.986 0.784
S 0.736 0.956 0.284
S 0.749 0.718 0.263

! NaS (r2SCAN, optimized geometry); values from VASP
! symmetry = P-62m
! energy = -81.613 eV/cell
! ΔE_f = -1002 meV/atom
! relative energy among the computed polymorphs = 2 meV per atom
&SYSTEM
  ibrav = 0, nat = 12, ntyp = 2
/
ATOMIC_SPECIES
Na 22.99 Na.upf
S 32.06 S.upf
CELL_PARAMETERS angstrom
7.568 0.000 0.000
-3.784 6.554 0.000
0.000 0.000 5.347
ATOMIC_POSITIONS crystal
Na 0.000 0.310 0.000
Na 0.000 0.642 0.500
Na 0.310 0.000 0.000
Na 0.358 0.358 0.500
Na 0.642 0.000 0.500
Na 0.690 0.690 0.000
S 0.000 0.000 0.302
S 0.000 0.000 0.698
S 0.333 0.667 0.200
S 0.333 0.667 0.800
S 0.667 0.333 0.200
S 0.667 0.333 0.800

! Na2S5 (r2SCAN, optimized geometry); values from VASP
! symmetry = Pnma
! energy = -206.205 eV/cell
! ΔE_f = -608 meV/atom
&SYSTEM
  ibrav = 0, nat = 28, ntyp = 2
/
ATOMIC_SPECIES
Na 22.99 Na.upf
S 32.06 S.upf
CELL_PARAMETERS angstrom
7.647 0.000 0.000
0.000 14.511 0.000
0.000 0.000 5.791
ATOMIC_POSITIONS crystal
Na 0.000 0.000 0.000
Na 0.000 0.500 0.000
Na 0.052 0.250 0.202
Na 0.448 0.750 0.702
Na 0.500 0.000 0.500
Na 0.500 0.500 0.500
Na 0.552 0.250 0.298
Na 0.948 0.750 0.798
S 0.043 0.634 0.390
S 0.043 0.866 0.390
S 0.142 0.750 0.229
S 0.203 0.603 0.664
S 0.203 0.897 0.664
S 0.297 0.103 0.164
S 0.297 0.397 0.164
S 0.358 0.250 0.729
S 0.457 0.134 0.890
S 0.457 0.366 0.890
S 0.543 0.634 0.110
S 0.543 0.866 0.110
S 0.642 0.750 0.271
S 0.703 0.603 0.836
S 0.703 0.897 0.836
S 0.797 0.103 0.336
S 0.797 0.397 0.336
S 0.858 0.250 0.771
S 0.957 0.134 0.610
S 0.957 0.366 0.610

! Na3SbS4 (r2SCAN, optimized geometry); values from VASP
! symmetry = I-43m
! energy = -75.920 eV/cell
! ΔE_f = -923 meV/atom
&SYSTEM
  ibrav = 0, nat = 8, ntyp = 3
/
ATOMIC_SPECIES
Na 22.99 Na.upf
Sb 121.76 Sb.upf
S 32.06 S.upf
CELL_PARAMETERS angstrom
-3.583 3.583 3.583
3.583 -3.583 3.583
3.583 3.583 -3.583
ATOMIC_POSITIONS crystal
Na 0.000 0.500 0.500
Na 0.500 0.000 0.500
Na 0.500 0.500 0.000
Sb 0.000 0.000 0.000
S 0.000 0.000 0.378
S 0.000 0.378 0.000
S 0.378 0.000 0.000
S 0.622 0.622 0.622

! Na4SeS (r2SCAN, optimized geometry); values from VASP
! symmetry = P4/mmm
! energy = -44.192 eV/cell
! ΔE_f = -1265 meV/atom
&SYSTEM
  ibrav = 0, nat = 6, ntyp = 3
/
ATOMIC_SPECIES
Na 22.99 Na.upf
Se 78.96 Se.upf
S 32.06 S.upf
CELL_PARAMETERS angstrom
4.693 0.000 0.000
0.000 4.693 0.000
0.000 0.000 6.651
ATOMIC_POSITIONS crystal
Na 0.000 0.500 0.243
Na 0.000 0.500 0.757
Na 0.500 0.000 0.243
Na 0.500 0.000 0.757
Se 0.000 0.000 0.500
S 0.500 0.500 0.000

! Na2Ta3S6 (r2SCAN, optimized geometry); values from VASP
! symmetry = R32
! energy = -432.040 eV/cell
! ΔE_f = -1356 meV/atom
&SYSTEM
  ibrav = 0, nat = 22, ntyp = 3
/
ATOMIC_SPECIES
Na 22.99 Na.upf
Ta 180.95 Ta.upf
S 32.06 S.upf
CELL_PARAMETERS angstrom
2.918 1.685 14.389
-2.918 1.685 14.389
0.000 -3.369 14.389
ATOMIC_POSITIONS crystal
Na 0.083 0.083 0.083
Na 0.417 0.417 0.417
Na 0.583 0.583 0.583
Na 0.917 0.917 0.917
Ta 0.000 0.000 0.000
Ta 0.167 0.500 0.833
Ta 0.333 0.333 0.333
Ta 0.500 0.833 0.167
Ta 0.667 0.667 0.667
Ta 0.833 0.167 0.500
S 0.035 0.702 0.370
S 0.130 0.798 0.465
S 0.202 0.870 0.535
S 0.298 0.965 0.630
S 0.370 0.035 0.702
S 0.465 0.130 0.798
S 0.535 0.202 0.870
S 0.630 0.298 0.965
S 0.702 0.370 0.035
S 0.798 0.465 0.130
S 0.870 0.535 0.202
S 0.965 0.630 0.298

! Na3Ti10S20 (r2SCAN, optimized geometry); values from VASP
! symmetry = Cm
! energy = -351.527 eV/cell
! ΔE_f = -1539 meV/atom
&SYSTEM
  ibrav = 0, nat = 33, ntyp = 3
/
ATOMIC_SPECIES
Na 22.99 Na.upf
Ti 47.87 Ti.upf
S 32.06 S.upf
CELL_PARAMETERS angstrom
2.976 -8.579 0.000
2.976 8.579 0.000
-1.959 0.000 12.890
ATOMIC_POSITIONS crystal
Na 0.000 0.000 0.000
Na 0.169 0.550 0.003
Na 0.550 0.169 0.003
Ti 0.055 0.456 0.727
Ti 0.102 0.102 0.276
Ti 0.257 0.257 0.729
Ti 0.307 0.906 0.274
Ti 0.456 0.055 0.727
Ti 0.506 0.705 0.274
Ti 0.655 0.854 0.729
Ti 0.705 0.506 0.274
Ti 0.854 0.655 0.729
Ti 0.906 0.307 0.274
S 0.026 0.225 0.841
S 0.074 0.873 0.382
S 0.087 0.687 0.621
S 0.134 0.333 0.162
S 0.225 0.026 0.841
S 0.274 0.674 0.381
S 0.287 0.487 0.621
S 0.333 0.134 0.162
S 0.428 0.828 0.842
S 0.474 0.474 0.382
S 0.487 0.287 0.621
S 0.537 0.937 0.160
S 0.623 0.623 0.841
S 0.674 0.274 0.381
S 0.687 0.087 0.621
S 0.733 0.733 0.162
S 0.828 0.428 0.842
S 0.873 0.074 0.382
S 0.888 0.888 0.622
S 0.937 0.537 0.160

! NaTmS2 (r2SCAN, optimized geometry); values from VASP
! symmetry = R-3m
! energy = -63.310 eV/cell
! ΔE_f = -2139 meV/atom
&SYSTEM
  ibrav = 0, nat = 4, ntyp = 3
/
ATOMIC_SPECIES
Na 22.99 Na.upf
Tm 168.93 Tm.upf
S 32.06 S.upf
CELL_PARAMETERS angstrom
1.955 1.129 6.598
-1.955 1.129 6.598
0.000 -2.258 6.598
ATOMIC_POSITIONS crystal
Na 0.000 0.000 0.000
Tm 0.500 0.500 0.500
S 0.242 0.242 0.242
S 0.758 0.758 0.758

! NaV6S8 (r2SCAN, optimized geometry); values from VASP
! symmetry = P-3
! energy = -169.722 eV/cell
! ΔE_f = -1157 meV/atom
&SYSTEM
  ibrav = 0, nat = 15, ntyp = 3
/
ATOMIC_SPECIES
Na 22.99 Na.upf
V 50.94 V.upf
S 32.06 S.upf
CELL_PARAMETERS angstrom
9.109 0.000 0.000
-4.554 7.888 0.000
0.000 0.000 3.247
ATOMIC_POSITIONS crystal
Na 0.000 0.000 0.000
V 0.111 0.490 0.249
V 0.379 0.889 0.249
V 0.490 0.379 0.751
V 0.510 0.621 0.249
V 0.621 0.111 0.751
V 0.889 0.510 0.751
S 0.051 0.709 0.252
S 0.291 0.342 0.252
S 0.333 0.667 0.750
S 0.342 0.051 0.748
S 0.658 0.949 0.252
S 0.667 0.333 0.250
S 0.709 0.658 0.748
S 0.949 0.291 0.748

! NaVS2 (r2SCAN, optimized geometry); values from VASP
! symmetry = R-3m
! energy = -38.955 eV/cell
! ΔE_f = -1308 meV/atom
&SYSTEM
  ibrav = 0, nat = 4, ntyp = 3
/
ATOMIC_SPECIES
Na 22.99 Na.upf
V 50.94 V.upf
S 32.06 S.upf
CELL_PARAMETERS angstrom
1.799 1.039 6.461
-1.799 1.039 6.461
0.000 -2.078 6.461
ATOMIC_POSITIONS crystal
Na 0.000 0.000 0.000
V 0.500 0.500 0.500
S 0.236 0.236 0.236
S 0.764 0.764 0.764

! Na2ZnS2 (r2SCAN, optimized geometry); values from VASP
! symmetry = P2_1/c
! energy = -151.797 eV/cell
! ΔE_f = -1168 meV/atom
&SYSTEM
  ibrav = 0, nat = 20, ntyp = 3
/
ATOMIC_SPECIES
Na 22.99 Na.upf
Zn 65.41 Zn.upf
S 32.06 S.upf
CELL_PARAMETERS angstrom
8.791 0.000 0.000
0.000 7.029 0.000
-0.471 0.000 6.794
ATOMIC_POSITIONS crystal
Na 0.052 0.237 0.012
Na 0.052 0.263 0.512
Na 0.324 0.672 0.952
Na 0.324 0.828 0.452
Na 0.676 0.172 0.548
Na 0.676 0.328 0.048
Na 0.948 0.737 0.488
Na 0.948 0.763 0.988
Zn 0.371 0.095 0.846
Zn 0.371 0.405 0.346
Zn 0.629 0.595 0.654
Zn 0.629 0.905 0.154
S 0.145 0.544 0.248
S 0.145 0.956 0.748
S 0.412 0.111 0.197
S 0.412 0.389 0.697
S 0.588 0.611 0.303
S 0.588 0.889 0.803
S 0.855 0.044 0.252
S 0.855 0.456 0.752

! Na2Zn2S3 (r2SCAN, optimized geometry); values from VASP
! symmetry = C2/c
! energy = -227.436 eV/cell
! ΔE_f = -1115 meV/atom
&SYSTEM
  ibrav = 0, nat = 28, ntyp = 3
/
ATOMIC_SPECIES
Na 22.99 Na.upf
Zn 65.41 Zn.upf
S 32.06 S.upf
CELL_PARAMETERS angstrom
7.305 -6.517 0.000
7.305 6.517 0.000
-2.987 0.000 5.955
ATOMIC_POSITIONS crystal
Na 0.069 0.931 0.750
Na 0.218 0.782 0.250
Na 0.312 0.484 0.373
Na 0.484 0.312 0.873
Na 0.516 0.688 0.127
Na 0.688 0.516 0.627
Na 0.782 0.218 0.750
Na 0.931 0.069 0.250
Zn 0.050 0.584 0.740
Zn 0.138 0.291 0.798
Zn 0.291 0.138 0.298
Zn 0.416 0.950 0.760
Zn 0.584 0.050 0.240
Zn 0.709 0.862 0.702
Zn 0.862 0.709 0.202
Zn 0.950 0.416 0.260
S 0.078 0.226 0.072
S 0.078 0.646 0.445
S 0.226 0.078 0.572
S 0.268 0.505 0.943
S 0.354 0.922 0.055
S 0.495 0.732 0.557
S 0.505 0.268 0.443
S 0.646 0.078 0.945
S 0.732 0.495 0.057
S 0.774 0.922 0.428
S 0.922 0.354 0.555
S 0.922 0.774 0.928

! Na2ZnS2 (r2SCAN, optimized geometry); values from VASP
! symmetry = Ibam
! energy = -75.859 eV/cell
! ΔE_f = -1165 meV/atom
&SYSTEM
  ibrav = 0, nat = 10, ntyp = 3
/
ATOMIC_SPECIES
Na 22.99 Na.upf
Zn 65.41 Zn.upf
S 32.06 S.upf
CELL_PARAMETERS angstrom
-3.191 5.570 2.924
3.191 -5.570 2.924
3.191 5.570 -2.924
ATOMIC_POSITIONS crystal
Na 0.142 0.152 0.294
Na 0.358 0.652 0.011
Na 0.642 0.348 0.989
Na 0.858 0.848 0.706
Zn 0.250 0.750 0.500
Zn 0.750 0.250 0.500
S 0.112 0.714 0.826
S 0.388 0.214 0.602
S 0.612 0.786 0.398
S 0.888 0.286 0.174

! Na6ZnS4 (r2SCAN, optimized geometry); values from VASP
! symmetry = P6_3mc
! energy = -152.198 eV/cell
! ΔE_f = -1242 meV/atom
&SYSTEM
  ibrav = 0, nat = 22, ntyp = 3
/
ATOMIC_SPECIES
Na 22.99 Na.upf
Zn 65.41 Zn.upf
S 32.06 S.upf
CELL_PARAMETERS angstrom
8.873 0.000 0.000
-4.437 7.685 0.000
0.000 0.000 6.861
ATOMIC_POSITIONS crystal
Na 0.061 0.530 0.000
Na 0.148 0.296 0.673
Na 0.148 0.852 0.673
Na 0.296 0.148 0.173
Na 0.470 0.530 0.000
Na 0.470 0.939 0.000
Na 0.530 0.061 0.500
Na 0.530 0.470 0.500
Na 0.704 0.852 0.673
Na 0.852 0.148 0.173
Na 0.852 0.704 0.173
Na 0.939 0.470 0.500
Zn 0.333 0.667 0.383
Zn 0.667 0.333 0.883
S 0.188 0.375 0.276
S 0.188 0.812 0.276
S 0.333 0.667 0.728
S 0.375 0.188 0.776
S 0.625 0.812 0.276
S 0.667 0.333 0.228
S 0.812 0.188 0.776
S 0.812 0.625 0.776